[1]
Below is ScTe3 after structural relaxation, with properties calculated at the PBE level.

Geometry as extended XYZ:
```
8
Lattice="3.572 -6.187 0.000 3.572 6.187 0.000 0.000 0.000 5.101" Properties=species:S:1:pos:R:3 pbc="T T T"
Te 1.974 1.139 1.275
Te 3.572 3.908 1.275
Te 1.974 -1.139 3.825
Te 3.572 -3.908 3.825
Te 5.170 -1.139 3.825
Te 5.170 1.139 1.275
Sc 3.572 -2.062 1.275
Sc 3.572 2.062 3.825
```

Output
- DFT total energy: -4.22 eV per atom
- Space-group type: P6_3/mmc, No. 194
- Size of the total moment: 0.00 μB/f.u.

[2]
Below is Na3YB2O6 after structural relaxation, with properties calculated at the PBE level.

Geometry as extended XYZ:
```
48
Lattice="-5.820 -6.055 1.842 4.847 -4.450 0.687 5.056 -1.530 10.946" Properties=species:S:1:pos:R:3 pbc="T T T"
B 5.720 -4.317 7.439
B 1.367 -4.358 7.710
B 1.313 -5.507 2.561
B 2.716 -7.676 5.764
B 1.068 -1.275 1.532
B 3.015 -10.760 11.942
B 2.769 -6.528 10.914
B -1.637 -7.718 6.036
O 0.807 -6.333 1.560
O 2.215 -8.274 4.585
O 1.867 -3.761 8.889
O 1.405 -6.518 10.626
O 0.882 -1.392 2.928
O 0.442 -4.679 3.265
O -4.002 -6.266 2.921
O -0.979 -8.768 5.399
O -2.092 -7.892 7.341
O 1.958 -4.001 6.516
O 2.125 -8.033 6.959
O 3.201 -10.643 10.546
O 8.085 -5.769 10.554
O 3.641 -7.356 10.209
O 3.276 -5.702 11.915
O 3.799 -6.833 5.637
O 5.927 -5.531 8.093
O 2.678 -5.517 2.848
O 6.175 -4.143 6.134
O 0.431 -2.196 0.727
O 0.284 -5.202 7.837
O 3.652 -9.839 12.748
O -1.844 -6.504 5.382
O 5.062 -3.266 8.076
Y 3.109 -2.211 7.639
Y 0.974 -9.824 5.836
Y -0.855 -2.940 2.621
Y 4.938 -9.095 10.854
Na 0.415 -7.550 8.500
Na 0.825 -8.560 2.732
Na 3.783 -6.625 8.021
Na 3.521 -3.503 1.831
Na 0.562 -8.532 11.643
Na 3.668 -4.484 4.974
Na 5.642 -5.825 10.622
Na 3.258 -3.475 10.743
Na 1.263 -2.156 5.101
Na 2.820 -9.879 8.373
Na 0.300 -5.410 5.453
Na -1.560 -6.209 2.852
```

Output
- DFT total energy: -6.95 eV per atom
- Space-group type: P2_1/c, No. 14
- Size of the total moment: 0.00 μB/f.u.

[3]
Below is K3P2H7O10 after structural relaxation, with properties calculated at the PBE level.

Geometry as extended XYZ:
```
88
Lattice="10.483 0.000 0.000 0.000 6.189 0.000 0.000 0.104 17.064" Properties=species:S:1:pos:R:3 pbc="T T T"
H 9.048 2.106 8.768
H 4.280 1.244 9.861
H 7.211 5.110 13.414
H 7.812 3.643 13.472
H 6.088 0.476 11.233
H 9.636 0.424 2.701
H 6.611 3.562 6.887
H 9.113 3.614 15.419
H 2.571 2.701 12.124
H 2.670 2.649 3.592
H 0.961 1.192 1.329
H 8.746 1.603 7.258
H 7.912 3.592 4.940
H 1.370 2.678 1.646
H 6.977 1.655 15.790
H 1.435 4.187 8.296
H 6.676 2.054 0.236
H 1.969 1.235 12.182
H 4.395 5.816 5.831
H 3.806 4.238 16.829
H 6.202 5.049 7.203
H 3.872 2.730 10.178
H 9.521 5.101 15.736
H 1.736 4.689 9.807
H 8.513 5.058 4.882
H 0.846 5.868 14.364
H 3.272 1.183 3.650
H 3.505 4.637 1.275
P 3.699 5.256 11.585
P 2.133 5.446 6.002
P 1.542 5.204 3.052
P 6.784 1.037 5.480
P 3.109 5.498 14.534
P 8.940 1.089 14.012
P 7.374 0.795 2.530
P 8.350 0.847 11.063
O 8.705 4.123 4.651
O 6.373 2.213 16.352
O 1.983 0.513 6.826
O 9.139 2.610 13.952
O 3.464 2.118 3.881
O 1.387 5.789 4.592
O 9.197 4.267 16.163
O 6.585 2.558 5.419
O 4.838 5.970 10.838
O 10.079 0.375 14.759
O 2.309 5.690 11.110
O 5.645 0.323 6.227
O 1.598 5.182 14.142
O 1.344 3.682 3.113
O 7.019 4.175 13.183
O 0.404 5.918 2.306
O 8.174 0.602 5.954
O 6.783 2.074 1.965
O 1.285 2.026 0.901
O 6.839 1.163 11.454
O 3.643 5.130 5.610
O 4.109 4.080 0.712
O 3.897 3.734 11.645
O 7.550 0.654 14.486
O 3.258 0.565 15.358
O 2.933 5.638 2.578
O 8.941 2.126 10.497
O 9.351 2.161 7.820
O 1.777 2.169 12.413
O 6.526 4.215 7.631
O 1.132 4.132 9.245
O 7.224 5.727 1.706
O 1.541 4.166 6.567
O 8.884 1.111 2.922
O 6.628 0.451 3.940
O 9.096 0.503 12.472
O 3.700 4.218 15.099
O 3.854 5.841 13.124
O 3.956 2.078 9.433
O 8.499 5.779 10.238
K 1.318 2.566 15.264
K 1.195 1.340 9.357
K 0.127 2.166 5.221
K 5.114 2.217 13.753
K 6.559 3.779 10.332
K 4.046 1.288 0.825
K 10.355 4.127 11.844
K 9.165 3.727 1.800
K 3.924 2.514 6.732
K 5.369 4.075 3.311
K 6.437 5.005 16.240
K 9.287 4.953 7.708
```

Output
- DFT total energy: -5.67 eV per atom
- Space-group type: P2_1/c, No. 14
- Size of the total moment: 0.00 μB/f.u.

ΔE_f in eV/f.u., matching the order above: -2.40 -34.02 -44.14